P) The following is a PBE calculation of an optimized crystal structure of LiBi2I2O2, from Materials Project.

The structure in CIF format:
```
data_LiBi2I2O2
_symmetry_space_group_name_H-M 'P 1'
_symmetry_Int_Tables_number 1
_symmetry_space_group_name_Hall 'P 1'
_cell_length_a 4.101
_cell_length_b 4.101
_cell_length_c 10.377
_cell_angle_alpha 90.00
_cell_angle_beta 90.00
_cell_angle_gamma 90.00
loop_
_atom_site_label
_atom_site_type_symbol
_atom_site_fract_x
_atom_site_fract_y
_atom_site_fract_z
_atom_site_occupancy
Li1 Li 0.750 0.750 0.074 1
Bi1 Bi 0.750 0.750 0.826 1
Bi2 Bi 0.250 0.250 0.126 1
I1 I 0.250 0.250 0.686 1
I2 I 0.750 0.750 0.330 1
O1 O 0.750 0.250 0.020 1
O2 O 0.250 0.750 0.020 1
```

---

Q) The following is a PBE calculation of an optimized crystal structure of LiBi2I2O2, from Materials Project.

The structure in CIF format:
```
data_LiBi2I2O2
_symmetry_space_group_name_H-M 'P 1'
_symmetry_Int_Tables_number 1
_symmetry_space_group_name_Hall 'P 1'
_cell_length_a 4.189
_cell_length_b 4.189
_cell_length_c 10.171
_cell_angle_alpha 90.00
_cell_angle_beta 90.00
_cell_angle_gamma 90.00
loop_
_atom_site_label
_atom_site_type_symbol
_atom_site_fract_x
_atom_site_fract_y
_atom_site_fract_z
_atom_site_occupancy
Li1 Li 0.750 0.750 0.580 1
Bi1 Bi 0.750 0.750 0.905 1
Bi2 Bi 0.250 0.250 0.123 1
I1 I 0.250 0.250 0.662 1
I2 I 0.750 0.750 0.310 1
O1 O 0.750 0.250 0.007 1
O2 O 0.250 0.750 0.007 1
```

---

Q) (142 meV/atom below the next structure)